Entry 1:
Entry from the Materials Project: MoP4O12 after structural relaxation (PBE+U).

POSCAR file:
```
MoP4O12
1.0
5.9945 -4.1822 0.0000
5.9945 4.1822 0.0000
-5.2105 0.0000 8.9741
Mo P O
2 8 24
Cartesian
2.0866 3.7200 6.7305
4.6919 -3.7200 2.2435
5.7741 1.9885 0.1785
3.6097 1.9885 4.3085
-0.5926 0.1096 7.1983
2.0126 -0.1096 2.7113
4.7659 0.1096 6.2628
7.3711 -0.1096 1.7757
3.1688 -1.9885 4.6656
1.0044 -1.9885 8.7955
5.1080 3.1629 0.8448
0.6267 0.5394 2.8058
4.2757 3.1629 3.6422
-0.1691 0.6782 5.9208
2.5234 2.2599 5.3195
-0.6054 1.1464 8.4571
-1.9785 -0.5394 7.2929
1.6499 2.2599 8.1416
3.0806 1.0226 3.1709
2.4361 -0.6782 1.4338
6.3032 1.0226 1.3162
1.9998 -1.1464 3.9701
4.7787 1.1464 5.0039
0.4753 -1.0226 7.6579
4.3425 0.6782 7.5403
3.6980 -1.0226 5.8032
5.1286 -2.2599 0.8325
8.7571 0.5394 1.6812
7.3839 -1.1464 0.5169
4.2551 -2.2599 3.6545
6.9477 -0.6782 3.0532
2.5028 -3.1629 5.3319
6.1518 -0.5394 6.1682
1.6705 -3.1629 8.1292
```

Results
**Symmetry**: C2/c (15)
**Energy of formation from the pure elements**: -2.4582 eV per atom

***

Entry 2:
Entry from the Materials Project: Zn2W9O13 after structural relaxation (PBE+U).

POSCAR file:
```
Zn2W9O13
1.0
3.1703 0.0000 0.0000
-0.9328 5.5104 0.0000
-0.4897 -0.4846 17.9197
Zn W O
2 9 13
Cartesian
0.2854 0.0232 4.4718
1.4624 5.0026 13.4479
-0.4664 2.7552 0.0000
-0.2769 4.1540 9.9021
0.6524 0.1994 16.9256
0.8076 1.2348 11.0475
0.6028 2.1120 14.7706
1.1451 2.9137 3.1491
0.9402 3.7909 6.8721
1.0954 4.8264 0.9941
2.0247 0.8718 8.0175
-0.7618 2.5310 11.2136
-0.9968 3.3611 14.2363
-0.4488 4.5090 2.5825
0.3757 -0.1079 6.7735
0.7823 0.7554 13.0866
1.2318 1.5606 1.0822
0.8739 2.5129 8.9598
0.5160 3.4652 16.8375
0.9655 4.2704 4.8331
1.3721 5.1337 11.1462
2.1966 0.5167 15.3371
2.7446 1.6647 3.6833
2.5096 2.4948 6.7061
```

Results
**Symmetry**: P-1 (2)
**Energy of formation from the pure elements**: -0.7480 eV per atom

***

Entry 3:
Entry from the Materials Project: MgV3CrO10 after structural relaxation (PBE+U).

POSCAR file:
```
MgV3CrO10
1.0
6.4814 0.0000 0.0000
0.0000 6.5709 0.0000
0.0000 0.0000 5.4467
Mg V Cr O
1 3 1 10
Cartesian
0.0000 0.0000 0.0000
0.0000 3.2854 3.4644
3.2407 0.0000 2.1840
3.2407 3.2854 2.8621
0.0000 0.0000 2.7153
0.0000 1.3510 3.9338
0.0000 3.2854 1.8466
0.0000 5.2199 3.9338
1.3303 0.0000 1.5164
1.7965 3.2854 3.9192
3.2407 0.0000 3.8229
3.2407 1.9328 1.8243
3.2407 4.6380 1.8243
4.6850 3.2854 3.9192
5.1512 0.0000 1.5164
```

Results
**Symmetry**: Pmm2 (25)
**Energy of formation from the pure elements**: -2.2381 eV per atom

***

Entry 4:
Entry from the Materials Project: Li4MoO5 after structural relaxation (PBE+U).

POSCAR file:
```
Li4MoO5
1.0
-3.2992 3.2992 2.1379
3.2992 -3.2992 2.1379
3.2992 3.2992 -2.1379
Li Mo O
4 1 5
Cartesian
2.0725 0.6357 0.0000
2.6634 -1.2266 2.1379
0.6357 4.5258 0.0000
1.2266 2.6634 2.1379
0.0000 0.0000 1.9303
0.0000 0.0000 0.0856
3.8761 1.4872 0.0640
1.4872 2.7222 0.0640
1.8119 0.5769 2.2018
-0.5769 1.8119 2.2018
```

Results
**Symmetry**: I4 (79)
**Maximum piezoelectric response**: 2.28 C/m²
**Energy of formation from the pure elements**: -2.2353 eV per atom

***

Entry 5:
Entry from the Materials Project: FeNi2O4 after structural relaxation (PBE+U).

POSCAR file:
```
FeNi2O4
1.0
0.0000 4.1828 4.1828
4.1828 0.0000 4.1828
4.1828 4.1828 0.0000
Fe Ni O
2 4 8
Cartesian
1.0457 1.0457 1.0457
7.3200 7.3200 7.3200
4.1828 2.0914 2.0914
2.0914 4.1828 2.0914
2.0914 2.0914 4.1828
4.1828 4.1828 4.1828
2.1546 2.1546 2.1546
4.1196 4.1196 2.1546
4.1196 2.1546 4.1196
6.2111 4.2460 4.2460
2.1546 4.1196 4.1196
4.2460 6.2111 4.2460
4.2460 4.2460 6.2111
6.2111 6.2111 6.2111
```

Results
**Symmetry**: Fd-3m (227)
**Energy of formation from the pure elements**: -1.3086 eV per atom

***

Entry 6:
Entry from the Materials Project: Li3VOF4 after structural relaxation (PBE+U).

POSCAR file:
```
Li3VOF4
1.0
7.6807 0.0000 0.0000
-0.1142 10.2200 0.0000
-3.5297 -0.1373 10.1841
Li V O F
24 8 8 32
Cartesian
0.0000 0.0000 0.0000
-3.4817 3.7283 10.0591
-0.6622 7.2858 2.0794
-1.1231 5.1498 4.4886
-1.1431 8.9677 4.4206
-0.1898 3.3202 2.5431
-0.7756 10.0398 7.5574
-0.6653 3.7798 7.6806
-1.2321 6.9222 9.7431
-1.1566 1.5149 9.8433
1.6864 8.9975 1.8348
1.7853 5.1761 1.8162
2.0326 3.7339 5.0228
1.9822 10.0417 5.0555
1.4225 6.9267 7.2564
1.6076 1.9891 7.3495
1.0563 4.9727 9.4952
1.0482 8.9720 9.5652
4.8190 3.8119 2.5181
4.8490 10.1525 2.4610
4.2458 6.9672 4.6867
4.3515 1.6436 4.7523
3.7187 4.9168 6.8850
3.7146 8.8920 6.9267
-1.3346 6.9390 6.9742
-0.5266 1.8663 4.9942
1.4495 6.8702 4.3956
2.3061 1.9127 2.4578
4.2796 6.9721 1.8650
1.6220 1.7942 10.1498
3.5736 6.8914 9.5191
4.4009 1.7901 7.5621
-2.6832 6.9469 8.2957
-1.9203 1.8223 6.2672
0.0113 6.8771 5.6396
0.8903 2.0114 3.7257
2.8535 6.8865 3.1141
3.7580 1.9557 1.2387
5.6674 7.0008 0.5713
3.0467 1.7870 8.8892
0.3678 8.3802 0.5536
-2.2958 0.3042 8.6050
0.4750 5.7162 0.5014
-2.2421 3.1980 8.6568
0.4670 8.3693 3.3252
0.5310 5.2942 3.3636
1.2990 3.3410 1.3453
1.3892 0.5817 1.2068
0.4573 0.3393 5.9976
0.4698 3.2456 6.1728
-0.2106 5.6284 8.1194
-0.2175 8.2530 8.0986
0.4735 0.5572 8.9310
3.2457 8.4018 0.7709
3.3264 5.5533 0.7335
0.6574 3.1804 8.9630
3.2337 0.3847 3.5210
2.4831 5.5697 5.5849
2.5011 8.2299 5.5355
3.3382 3.2557 3.6331
3.2438 3.1011 6.4657
2.5482 8.2887 8.3822
3.3354 0.4722 6.3840
2.6393 5.4271 8.4209
5.8704 0.1429 0.7489
5.3549 5.6731 3.0324
5.3303 8.3076 3.0258
6.1486 3.4340 1.0547
5.2743 5.5448 5.8975
6.0480 0.5380 3.9019
5.3273 8.3785 5.8926
6.1564 3.3180 3.9098
```

Results
**Symmetry**: P1 (1)
**Energy of formation from the pure elements**: -2.9652 eV per atom

***

Entry 7:
Entry from the Materials Project: Rb4MgMo2O8 after structural relaxation (PBE+U).

POSCAR file:
```
Rb4MgMo2O8
1.0
6.8393 0.0000 0.0000
3.3649 6.8715 0.0000
1.0215 3.6986 6.8759
Rb Mg Mo O
4 1 2 8
Cartesian
0.0000 0.0000 0.0000
4.7979 8.5872 3.6727
3.4272 0.5524 0.0428
8.1134 5.9724 3.6541
4.8735 3.7184 0.4077
4.7786 3.8246 3.2892
8.2414 3.7172 0.1481
1.4192 2.1034 1.0052
4.1761 7.4398 6.2178
3.2067 3.9000 4.2290
4.8562 5.1250 1.8570
4.7905 2.4207 1.9561
7.5526 7.3589 6.1601
6.2970 3.8456 4.3164
8.2252 5.3200 1.0247
```

Results
**Symmetry**: P1 (1)
**Energy of formation from the pure elements**: -2.0522 eV per atom

***

Entry 8:
Entry from the Materials Project: Al2Fe3O9 after structural relaxation (PBE+U).

POSCAR file:
```
Al2Fe3O9
1.0
2.6992 -4.7841 0.0000
2.6992 4.7841 0.0000
-0.5877 0.0000 15.0664
Al Fe O
4 6 18
Cartesian
0.8023 1.5676 2.8871
0.8023 -1.5676 2.8871
4.0084 1.5676 12.1793
4.0084 -1.5676 12.1793
0.0000 0.0000 0.0000
-0.2939 0.0000 7.5332
2.4054 1.5947 7.5332
2.6992 1.5409 0.0000
2.6992 -1.5409 0.0000
2.4054 -1.5947 7.5332
0.8771 1.6058 1.0392
0.6761 1.5942 6.6449
0.7820 0.0000 3.5251
2.1549 2.3840 3.5031
1.1368 0.0000 14.1609
2.6559 2.3840 11.5633
1.4351 0.0000 8.4233
0.8771 -1.6058 1.0392
0.6761 -1.5942 6.6449
4.1346 1.5942 8.4215
3.9337 1.6058 14.0272
3.3756 0.0000 6.6431
2.1549 -2.3840 3.5031
3.6740 0.0000 0.9055
2.6559 -2.3840 11.5633
4.0287 0.0000 11.5413
4.1346 -1.5942 8.4215
3.9337 -1.6058 14.0272
```

Results
**Symmetry**: C2/m (12)
**Energy of formation from the pure elements**: -1.8523 eV per atom

***

Entry 9:
Entry from the Materials Project: NaLaTbCoO6 after structural relaxation (PBE+U).

POSCAR file:
```
NaLaTbCoO6
1.0
0.0000 4.0142 4.0142
4.0142 0.0000 4.0142
4.0142 4.0142 0.0000
Na La Tb Co O
1 1 1 1 6
Cartesian
0.0000 0.0000 0.0000
4.0142 4.0142 4.0142
6.0213 6.0213 6.0213
2.0071 2.0071 2.0071
2.0071 2.0071 0.1702
2.0071 0.1702 2.0071
3.8440 2.0071 2.0071
0.1702 2.0071 2.0071
2.0071 3.8440 2.0071
2.0071 2.0071 3.8440
```

Results
**Symmetry**: F-43m (216)
**Energy of formation from the pure elements**: -2.3887 eV per atom

***

Entry 10:
Entry from the Materials Project: Mn6O5F7 after structural relaxation (PBE+U).

POSCAR file:
```
Mn6O5F7
1.0
4.7240 0.0000 0.0000
0.3045 5.7283 0.0000
0.0158 0.2077 15.6438
Mn O F
12 10 14
Cartesian
0.0000 0.0000 0.0000
4.7351 0.1703 10.5581
0.0986 0.1248 5.2216
0.2026 2.0001 13.1392
2.4108 4.7141 2.5611
2.3625 2.8371 5.2480
2.5010 4.6973 12.9541
2.4088 2.8231 10.4906
2.5625 4.7471 7.7294
2.4963 3.0741 15.5742
4.6860 1.7025 2.7906
4.8030 1.8238 7.8979
0.9781 0.2802 3.5484
1.0975 1.5663 11.4851
1.1146 1.5636 6.2123
1.4828 4.3955 0.7757
1.4882 4.4493 6.0259
1.5141 4.4807 11.3115
1.5321 3.3008 13.8793
3.6467 1.5152 4.4153
3.7525 1.6246 9.5936
3.8483 1.7907 14.8081
1.1257 1.5168 1.1026
1.1619 0.3628 8.7780
1.1992 0.4411 14.0431
1.3466 3.1236 3.4447
1.4398 3.1870 8.6973
3.5394 3.0015 1.7391
3.6206 4.3851 4.2861
3.6214 3.1097 6.9743
3.7199 4.6473 14.5930
3.5210 0.2853 12.2929
3.7565 4.5630 9.5479
3.7050 3.1533 12.1163
3.5819 0.1622 1.6398
3.7136 0.2284 6.9176
```

Results
**Symmetry**: P1 (1)
**Energy of formation from the pure elements**: -2.3982 eV per atom

***

Entry 11:
Entry from the Materials Project: Li2VP2O7 after structural relaxation (PBE+U).

POSCAR file:
```
Li2VP2O7
1.0
5.1137 0.0000 0.0000
2.5487 4.4357 0.0000
2.1304 1.2354 13.1056
Li V P O
4 2 4 14
Cartesian
0.0000 0.0000 0.0000
2.3607 1.8561 2.5116
4.6797 3.2149 6.5574
7.4712 4.3271 9.0575
2.2447 1.5507 7.8133
5.0130 3.1470 1.2552
4.6738 2.7872 12.6378
4.8590 2.8953 9.5343
7.2926 4.6467 6.0860
4.9316 0.3049 2.9815
2.7371 3.3975 6.7777
1.7393 2.6622 0.2169
3.1731 3.6289 2.3013
4.3006 4.1477 8.8496
4.5632 3.1879 11.0859
4.0451 1.4025 12.8334
4.0815 1.6383 9.1157
5.7787 4.7940 6.2781
3.4542 0.2572 2.5641
6.1515 2.8338 13.0532
6.3726 2.7492 9.3424
5.5221 1.4696 6.4993
5.5596 1.6897 2.7835
7.5872 4.3454 4.5356
```

Results
**Symmetry**: P1 (1)
**Energy of formation from the pure elements**: -2.6476 eV per atom

***

Entry 12:
Entry from the Materials Project: MgMn2O4 after structural relaxation (PBE+U).

POSCAR file:
```
MgMn2O4
1.0
-3.0126 3.0128 4.3158
3.0126 -3.0128 4.3158
3.0126 3.0128 -4.3158
Mg Mn O
2 4 8
Cartesian
-1.5063 1.5064 2.1579
1.5063 1.5064 2.1579
0.0000 0.0000 0.0000
3.0126 1.5064 -1.1857
0.0000 3.0128 0.0000
0.0000 1.5064 5.5015
0.0000 0.1200 1.9429
1.3222 1.5064 0.0221
1.6904 -1.5064 4.3379
3.0126 0.1200 2.3729
0.0000 2.8927 1.9429
1.3222 4.5191 -0.0221
1.6904 1.5064 4.2938
3.0126 2.8927 2.3729
```

Results
**Symmetry**: Imma (74)
**Energy of formation from the pure elements**: -2.2944 eV per atom

***

The highest energy of formation from the pure elements belongs to which entry? Zn2W9O13

***

What is the energy of formation from the pure elements in the seventh record? -2.0522 eV per atom

***

What did the fifth record say?
Entry from the Materials Project: FeNi2O4 after structural relaxation (PBE+U).

POSCAR file:
```
FeNi2O4
1.0
0.0000 4.1828 4.1828
4.1828 0.0000 4.1828
4.1828 4.1828 0.0000
Fe Ni O
2 4 8
Cartesian
1.0457 1.0457 1.0457
7.3200 7.3200 7.3200
4.1828 2.0914 2.0914
2.0914 4.1828 2.0914
2.0914 2.0914 4.1828
4.1828 4.1828 4.1828
2.1546 2.1546 2.1546
4.1196 4.1196 2.1546
4.1196 2.1546 4.1196
6.2111 4.2460 4.2460
2.1546 4.1196 4.1196
4.2460 6.2111 4.2460
4.2460 4.2460 6.2111
6.2111 6.2111 6.2111
```

Results
**Symmetry**: Fd-3m (227)
**Energy of formation from the pure elements**: -1.3086 eV per atom

***

The lowest energy of formation from the pure elements belongs to which entry? Li3VOF4